A geometry-optimized Na2Zn2SiSn2S5O24 structure, computed with PBE.

Structure (CIF):
```
data_Na2Zn2SiSn2S5O24
_space_group_name_H-M_alt 'P 1'
_space_group_IT_number 1
_cell_length_a 8.760
_cell_length_b 8.765
_cell_length_c 22.866
_cell_angle_alpha 89.60
_cell_angle_beta 89.37
_cell_angle_gamma 60.04
loop_
_space_group_symop_operation_xyz
'x,y,z'
loop_
_atom_site_label
_atom_site_fract_x
_atom_site_fract_y
_atom_site_fract_z
Na1 0.000 0.000 0.000
Na2 0.001 0.981 0.519
Na3 0.321 0.331 0.844
Na4 0.335 0.320 0.344
Na5 0.643 0.661 0.678
Na6 0.646 0.691 0.177
Zn1 0.003 0.981 0.658
Zn2 0.316 0.316 0.988
Zn3 0.320 0.344 0.496
Zn4 0.652 0.663 0.822
Zn5 0.656 0.681 0.321
Zn6 0.988 0.997 0.854
Si1 0.312 0.631 0.588
Si2 0.319 0.034 0.088
Si3 0.694 0.996 0.257
Sn1 0.324 0.336 0.691
Sn2 0.334 0.311 0.190
Sn3 0.646 0.674 0.022
Sn4 0.647 0.663 0.527
Sn5 0.980 0.997 0.359
Sn6 0.988 0.994 0.154
S1 0.027 0.329 0.589
S2 0.032 0.617 0.090
S3 0.282 0.698 0.257
S4 0.284 0.000 0.757
S5 0.354 0.963 0.422
S6 0.356 0.662 0.923
S7 0.614 0.334 0.088
S8 0.615 0.037 0.589
S9 0.656 0.372 0.421
S10 0.659 0.960 0.921
S11 0.697 0.287 0.756
S12 0.944 0.373 0.923
S13 0.948 0.660 0.423
S14 0.984 0.701 0.758
S15 0.986 0.293 0.258
O1 0.004 0.799 0.095
O2 0.015 0.778 0.811
O3 0.030 0.175 0.310
O4 0.108 0.358 0.643
O5 0.111 0.517 0.146
O6 0.116 0.364 0.928
O7 0.121 0.503 0.428
O8 0.134 0.299 0.536
O9 0.141 0.320 0.252
O10 0.141 0.539 0.038
O11 0.143 0.011 0.096
O12 0.145 0.824 0.596
O13 0.149 0.517 0.754
O14 0.172 0.779 0.311
O15 0.173 0.976 0.418
O16 0.178 0.031 0.811
O17 0.180 0.822 0.918
O18 0.203 0.980 0.704
O19 0.204 0.813 0.205
O20 0.282 0.529 0.249
O21 0.285 0.151 0.032
O22 0.290 0.550 0.529
O23 0.301 0.166 0.751
O24 0.331 0.139 0.429
O25 0.341 0.502 0.931
O26 0.357 0.106 0.150
O27 0.360 0.507 0.648
O28 0.431 0.852 0.476
O29 0.432 0.694 0.979
O30 0.458 0.879 0.369
O31 0.460 0.669 0.263
O32 0.463 0.846 0.762
O33 0.469 0.637 0.872
O34 0.496 0.835 0.085
O35 0.498 0.645 0.587
O36 0.499 0.108 0.642
O37 0.500 0.135 0.927
O38 0.502 0.182 0.254
O39 0.506 0.344 0.426
O40 0.507 0.371 0.144
O41 0.514 0.301 0.754
O42 0.529 0.313 0.037
O43 0.530 0.135 0.535
O44 0.635 0.869 0.872
O45 0.641 0.477 0.369
O46 0.642 0.852 0.584
O47 0.645 0.486 0.084
O48 0.668 0.468 0.761
O49 0.673 0.825 0.260
O50 0.683 0.450 0.475
O51 0.690 0.854 0.978
O52 0.773 0.185 0.810
O53 0.776 0.036 0.315
O54 0.783 0.028 0.597
O55 0.789 0.171 0.095
O56 0.798 0.203 0.703
O57 0.813 0.969 0.198
O58 0.819 0.975 0.916
O59 0.825 0.459 0.265
O60 0.826 0.193 0.420
O61 0.829 0.678 0.764
O62 0.836 0.451 0.980
O63 0.836 0.692 0.478
O64 0.852 0.484 0.873
O65 0.854 0.501 0.584
O66 0.855 0.631 0.086
O67 0.861 0.647 0.371
O68 0.963 0.196 0.920
O69 0.965 0.801 0.704
O70 0.967 0.824 0.421
O71 0.969 0.207 0.204
O72 0.993 0.185 0.598
```

Computed properties:
The value obtained for the size of the total moment is 0.00 μB/f.u. As for the density: 3.23 g/cm³. The formation energy is -2.016 eV/atom.